[1]
Computed, not measured: a relaxed structure of OsC at the GGA-PBE level of DFT.

Results
The space-group type is F-43m. For the total energy, the calculation gives -9.5110 eV per atom. As for the formation energy: 0.717 eV/atom.

abc: 3.261 3.261 3.261
angles: 60.00 60.00 60.00
Element x y z (fractional)
Os (0.000, 0.000, 0.000)
C (0.750, 0.750, 0.750)

=====

[2]
Computed, not measured: a relaxed structure of OsC at the GGA-PBE level of DFT.

Results
The space-group type is Fm-3m. For the total energy, the calculation gives -8.8362 eV per atom. As for the formation energy: 1.392 eV/atom.

abc: 3.084 3.084 3.084
angles: 60.00 60.00 60.00
Element x y z (fractional)
Os (0.000, 0.000, 0.000)
C (0.500, 0.500, 0.500)

=====

[3]
Computed, not measured: a relaxed structure of Os2C3 at the GGA-PBE level of DFT.

Results
The space-group type is Pbcn. For the total energy, the calculation gives -8.8560 eV per atom. As for the formation energy: 1.172 eV/atom.

abc: 10.080 7.625 5.121
angles: 90.00 90.00 90.00
Element x y z (fractional)
Os (0.000, 0.017, 0.250)
Os (0.000, 0.425, 0.750)
Os (0.000, 0.575, 0.250)
Os (0.000, 0.983, 0.750)
Os (0.234, 0.186, 0.249)
Os (0.234, 0.814, 0.749)
Os (0.266, 0.314, 0.749)
Os (0.266, 0.686, 0.249)
Os (0.500, 0.075, 0.250)
Os (0.500, 0.483, 0.750)
Os (0.500, 0.517, 0.250)
Os (0.500, 0.925, 0.750)
Os (0.734, 0.314, 0.751)
Os (0.734, 0.686, 0.251)
Os (0.766, 0.186, 0.251)
Os (0.766, 0.814, 0.751)
C (0.075, 0.201, 0.540)
C (0.075, 0.799, 0.040)
C (0.118, 0.381, 0.085)
C (0.118, 0.619, 0.585)
C (0.188, 0.071, 0.887)
C (0.188, 0.929, 0.387)
C (0.312, 0.429, 0.387)
C (0.312, 0.571, 0.887)
C (0.382, 0.119, 0.585)
C (0.382, 0.881, 0.085)
C (0.425, 0.299, 0.040)
C (0.425, 0.701, 0.540)
C (0.575, 0.299, 0.460)
C (0.575, 0.701, 0.960)
C (0.618, 0.119, 0.915)
C (0.618, 0.881, 0.415)
C (0.688, 0.429, 0.113)
C (0.688, 0.571, 0.613)
C (0.812, 0.071, 0.613)
C (0.812, 0.929, 0.113)
C (0.882, 0.381, 0.415)
C (0.882, 0.619, 0.915)
C (0.925, 0.201, 0.960)
C (0.925, 0.799, 0.460)

=====

[4]
Computed, not measured: a relaxed structure of OsC at the GGA-PBE level of DFT.

Results
The space-group type is P-6m2. For the total energy, the calculation gives -9.3119 eV per atom. As for the formation energy: 0.916 eV/atom.

abc: 2.948 2.948 2.730
angles: 90.00 90.00 120.00
Element x y z (fractional)
Os (0.000, 0.000, 0.000)
C (0.667, 0.333, 0.500)

=====

[5]
Computed, not measured: a relaxed structure of PrPOs2C at the GGA-PBE level of DFT.

Results
The space-group type is Cmcm. For the total energy, the calculation gives -8.8128 eV per atom. As for the formation energy: -0.437 eV/atom.

abc: 5.874 5.874 7.147
angles: 90.00 90.00 140.54
Element x y z (fractional)
Pr (0.046, 0.954, 0.750)
Pr (0.954, 0.046, 0.250)
P (0.230, 0.770, 0.250)
P (0.770, 0.230, 0.750)
Os (0.332, 0.668, 0.554)
Os (0.332, 0.668, 0.946)
Os (0.668, 0.332, 0.054)
Os (0.668, 0.332, 0.446)
C (0.500, 0.500, 0.000)
C (0.500, 0.500, 0.500)

=====

[6]
Computed, not measured: a relaxed structure of SmPOs2C at the GGA-PBE level of DFT.

Results
The space-group type is Cmcm. For the total energy, the calculation gives -8.8395 eV per atom. As for the formation energy: -0.476 eV/atom.

abc: 5.875 5.875 7.100
angles: 90.00 90.00 141.22
Element x y z (fractional)
Sm (0.045, 0.955, 0.750)
Sm (0.955, 0.045, 0.250)
P (0.231, 0.769, 0.250)
P (0.769, 0.231, 0.750)
Os (0.333, 0.667, 0.553)
Os (0.333, 0.667, 0.947)
Os (0.667, 0.333, 0.053)
Os (0.667, 0.333, 0.447)
C (0.500, 0.500, 0.000)
C (0.500, 0.500, 0.500)

=====

The lowest total energy belongs to which entry? number 1